# 1
# Li2CuF4

An optimized crystal structure of Li2CuF4 (PBE-GGA, the Materials Project).

POSCAR file:
```
Li2CuF4
1.0
3.000 -4.062 0.000
3.000 4.062 0.000
0.000 0.000 3.126
Li Cu F
2 1 4
Direct
0.500 0.000 0.500
0.000 0.500 0.500
0.000 0.000 0.000
0.764 0.236 0.000
0.231 0.231 0.500
0.769 0.769 0.500
0.236 0.764 0.000
```

Computed properties:
**Total energy**: -4.488 eV/atom
**ΔE_f**: -17.7 eV/f.u.
**Calculated volume**: 10.89 Å³/atom
**E above lowest polymorph**: 43 meV per atom
**SG**: No. 65
**Total magnetic moment**: 0.143 μB/atom

=====

# 2
# Li2Cu3F8

An optimized crystal structure of Li2Cu3F8 (PBE-GGA, the Materials Project).

POSCAR file:
```
Li2Cu3F8
1.0
8.532 0.000 0.000
0.000 8.532 0.000
0.000 0.000 8.532
Li Cu F
8 12 32
Direct
0.007 0.493 0.507
0.243 0.743 0.757
0.257 0.257 0.257
0.493 0.507 0.007
0.507 0.007 0.493
0.743 0.757 0.243
0.757 0.243 0.743
0.993 0.993 0.993
0.110 0.625 0.140
0.125 0.360 0.890
0.140 0.110 0.625
0.360 0.890 0.125
0.375 0.640 0.390
0.390 0.375 0.640
0.610 0.875 0.860
0.625 0.140 0.110
0.640 0.390 0.375
0.860 0.610 0.875
0.875 0.860 0.610
0.890 0.125 0.360
0.106 0.874 0.631
0.112 0.612 0.888
0.119 0.124 0.856
0.126 0.131 0.394
0.124 0.856 0.119
0.131 0.394 0.126
0.138 0.362 0.638
0.144 0.619 0.376
0.356 0.381 0.876
0.362 0.638 0.138
0.369 0.606 0.626
0.376 0.144 0.619
0.374 0.869 0.894
0.381 0.876 0.356
0.388 0.388 0.388
0.394 0.126 0.131
0.606 0.626 0.369
0.612 0.888 0.112
0.619 0.376 0.144
0.626 0.369 0.606
0.624 0.644 0.881
0.631 0.106 0.874
0.638 0.138 0.362
0.644 0.881 0.624
0.856 0.119 0.124
0.862 0.862 0.862
0.869 0.894 0.374
0.876 0.356 0.381
0.874 0.631 0.106
0.881 0.624 0.644
0.888 0.112 0.612
0.894 0.374 0.869
```

Computed properties:
**Total energy**: -4.317 eV/atom
**ΔE_f**: -28.4 eV/f.u.
**Calculated volume**: 11.94 Å³/atom
**E above lowest polymorph**: 5 meV per atom
**SG**: No. 212
**Total magnetic moment**: 0.231 μB/atom

=====

# 3
# Li2Cu2F7

An optimized crystal structure of Li2Cu2F7 (PBE-GGA, the Materials Project).

POSCAR file:
```
Li2Cu2F7
1.0
-4.153 -2.753 1.903
-1.132 -3.224 -5.466
2.859 -8.147 1.112
Li Cu F
4 4 14
Direct
0.093 0.411 0.266
0.545 0.241 0.359
0.455 0.759 0.641
0.907 0.589 0.734
0.304 0.007 0.171
0.788 0.790 0.304
0.212 0.210 0.696
0.696 0.993 0.829
0.404 0.281 0.160
0.152 0.732 0.201
0.674 0.908 0.088
0.935 0.085 0.261
0.735 0.501 0.302
0.182 0.299 0.471
0.445 0.889 0.395
0.555 0.111 0.605
0.818 0.701 0.529
0.265 0.499 0.698
0.065 0.915 0.739
0.326 0.092 0.912
0.848 0.268 0.799
0.596 0.719 0.840
```

Computed properties:
**Total energy**: -4.260 eV/atom
**ΔE_f**: -24.7 eV/f.u.
**Calculated volume**: 12.48 Å³/atom
**E above lowest polymorph**: 25 meV per atom
**SG**: No. 2
**Total magnetic moment**: 0.084 μB/atom

=====

total magnetic moment of number 3 (Li2Cu2F7)?
0.084 μB/atom

=====

Repeat the second record exactly.
# Li2Cu3F8

An optimized crystal structure of Li2Cu3F8 (PBE-GGA, the Materials Project).

POSCAR file:
```
Li2Cu3F8
1.0
8.532 0.000 0.000
0.000 8.532 0.000
0.000 0.000 8.532
Li Cu F
8 12 32
Direct
0.007 0.493 0.507
0.243 0.743 0.757
0.257 0.257 0.257
0.493 0.507 0.007
0.507 0.007 0.493
0.743 0.757 0.243
0.757 0.243 0.743
0.993 0.993 0.993
0.110 0.625 0.140
0.125 0.360 0.890
0.140 0.110 0.625
0.360 0.890 0.125
0.375 0.640 0.390
0.390 0.375 0.640
0.610 0.875 0.860
0.625 0.140 0.110
0.640 0.390 0.375
0.860 0.610 0.875
0.875 0.860 0.610
0.890 0.125 0.360
0.106 0.874 0.631
0.112 0.612 0.888
0.119 0.124 0.856
0.126 0.131 0.394
0.124 0.856 0.119
0.131 0.394 0.126
0.138 0.362 0.638
0.144 0.619 0.376
0.356 0.381 0.876
0.362 0.638 0.138
0.369 0.606 0.626
0.376 0.144 0.619
0.374 0.869 0.894
0.381 0.876 0.356
0.388 0.388 0.388
0.394 0.126 0.131
0.606 0.626 0.369
0.612 0.888 0.112
0.619 0.376 0.144
0.626 0.369 0.606
0.624 0.644 0.881
0.631 0.106 0.874
0.638 0.138 0.362
0.644 0.881 0.624
0.856 0.119 0.124
0.862 0.862 0.862
0.869 0.894 0.374
0.876 0.356 0.381
0.874 0.631 0.106
0.881 0.624 0.644
0.888 0.112 0.612
0.894 0.374 0.869
```

Computed properties:
**Total energy**: -4.317 eV/atom
**ΔE_f**: -28.4 eV/f.u.
**Calculated volume**: 11.94 Å³/atom
**E above lowest polymorph**: 5 meV per atom
**SG**: No. 212
**Total magnetic moment**: 0.231 μB/atom

=====

What did the first record say?
# Li2CuF4

An optimized crystal structure of Li2CuF4 (PBE-GGA, the Materials Project).

POSCAR file:
```
Li2CuF4
1.0
3.000 -4.062 0.000
3.000 4.062 0.000
0.000 0.000 3.126
Li Cu F
2 1 4
Direct
0.500 0.000 0.500
0.000 0.500 0.500
0.000 0.000 0.000
0.764 0.236 0.000
0.231 0.231 0.500
0.769 0.769 0.500
0.236 0.764 0.000
```

Computed properties:
**Total energy**: -4.488 eV/atom
**ΔE_f**: -17.7 eV/f.u.
**Calculated volume**: 10.89 Å³/atom
**E above lowest polymorph**: 43 meV per atom
**SG**: No. 65
**Total magnetic moment**: 0.143 μB/atom